1.
# WO3, relaxed, DFT GGA+U
data_WO3
_chemical_formula_sum 'W8 O24'
_symmetry_space_group_name_H-M 'P 1 21/c 1'
_symmetry_Int_Tables_number 14
_cell_length_a 7.5683
_cell_length_b 7.6347
_cell_length_c 10.7371
_cell_angle_alpha 90.00
_cell_angle_beta 134.13
_cell_angle_gamma 90.00
loop_
_symmetry_equiv_pos_as_xyz
'x,y,z'
'-x,-y,-z'
'-x,y+1/2,-z+1/2'
'x,-y+1/2,z+1/2'
loop_
_atom_site_label
_atom_site_type_symbol
_atom_site_fract_x
_atom_site_fract_y
_atom_site_fract_z
_atom_site_occupancy
W1 W 0.0154 0.0146 0.2681 1
W2 W 0.4802 0.5170 0.7330 1
O1 O 0.0041 0.7432 0.7219 1
O2 O 0.2188 0.0339 0.2181 1
O3 O 0.2191 0.0356 0.7191 1
O4 O 0.2779 0.5332 0.4958 1
O5 O 0.2856 0.5131 0.0034 1
O6 O 0.4799 0.7428 0.2677 1
# Energy relative to the elements: -8.7 eV per formula unit

2.
# WO2, relaxed, DFT GGA+U
data_WO2
_chemical_formula_sum 'W12 O24'
_symmetry_space_group_name_H-M 'P n m a'
_symmetry_Int_Tables_number 62
_cell_length_a 10.7819
_cell_length_b 8.4826
_cell_length_c 4.8245
_cell_angle_alpha 90.00
_cell_angle_beta 90.00
_cell_angle_gamma 90.00
loop_
_symmetry_equiv_pos_as_xyz
'x,y,z'
'-x,-y,-z'
'-x+1/2,-y,z+1/2'
'x+1/2,y,-z+1/2'
'x+1/2,-y+1/2,-z+1/2'
'-x+1/2,y+1/2,z+1/2'
'-x,y+1/2,-z'
'x,-y+1/2,z'
loop_
_atom_site_label
_atom_site_type_symbol
_atom_site_fract_x
_atom_site_fract_y
_atom_site_fract_z
_atom_site_occupancy
W1 W 0.1029 0.2500 0.0201 1
W2 W 0.1344 0.5928 0.5079 1
O1 O 0.0313 0.0829 0.2825 1
O2 O 0.0549 0.7500 0.2402 1
O3 O 0.1976 0.0765 0.7954 1
O4 O 0.2338 0.7500 0.7586 1
# Energy relative to the elements: -5.3 eV per formula unit

3.
# WO3, relaxed, DFT GGA+U
data_WO3
_chemical_formula_sum 'W8 O24'
_symmetry_space_group_name_H-M 'P b c n'
_symmetry_Int_Tables_number 60
_cell_length_a 7.6938
_cell_length_b 7.7588
_cell_length_c 7.6859
_cell_angle_alpha 90.00
_cell_angle_beta 90.00
_cell_angle_gamma 90.00
loop_
_symmetry_equiv_pos_as_xyz
'x,y,z'
'-x,-y,-z'
'-x+1/2,-y+1/2,z+1/2'
'x+1/2,y+1/2,-z+1/2'
'x+1/2,-y+1/2,-z'
'-x+1/2,y+1/2,z'
'-x,y,-z+1/2'
'x,-y,z+1/2'
loop_
_atom_site_label
_atom_site_type_symbol
_atom_site_fract_x
_atom_site_fract_y
_atom_site_fract_z
_atom_site_occupancy
W1 W 0.2406 0.2355 0.0066 1
O1 O 0.0020 0.2420 0.5216 1
O2 O 0.2281 0.2489 0.2519 1
O3 O 0.2427 0.4969 0.0010 1
# Energy relative to the elements: -8.8 eV per formula unit

4.
# WO3, relaxed, DFT GGA+U
data_WO3
_chemical_formula_sum 'W8 O24'
_symmetry_space_group_name_H-M 'P b c n'
_symmetry_Int_Tables_number 60
_cell_length_a 7.6776
_cell_length_b 7.7642
_cell_length_c 7.7337
_cell_angle_alpha 90.00
_cell_angle_beta 90.00
_cell_angle_gamma 90.00
loop_
_symmetry_equiv_pos_as_xyz
'x,y,z'
'-x,-y,-z'
'-x+1/2,-y+1/2,z+1/2'
'x+1/2,y+1/2,-z+1/2'
'x+1/2,-y+1/2,-z'
'-x+1/2,y+1/2,z'
'-x,y,-z+1/2'
'x,-y,z+1/2'
loop_
_atom_site_label
_atom_site_type_symbol
_atom_site_fract_x
_atom_site_fract_y
_atom_site_fract_z
_atom_site_occupancy
W1 W 0.2487 0.2350 0.0155 1
O1 O 0.0001 0.2420 0.5152 1
O2 O 0.2346 0.2488 0.2555 1
O3 O 0.2419 0.4966 0.0055 1
# Energy relative to the elements: -8.7 eV per formula unit

Question: Which formula does entry 2 have?
Answer: WO2